1.
## BiC3O10 (PBE)

Data for BiC3O10 after structural relaxation.

Summary:
SG ... P1 (1)
Energy of formation from the pure elements ... -0.762 eV/atom
M_tot ... 2.50 μB per formula unit
Mass density ... 3.028 g cm⁻³

a b c (Å): 9.2615 9.5471 11.2582
angles (deg): 103.95 101.94 105.91
Fractional positions:
O: 0.7765 0.3317 0.9942
O: 0.6606 0.9847 0.7414
O: 0.2595 0.8677 0.6847
O: 0.8991 0.4147 0.2891
O: 0.3343 0.2369 0.5456
O: 0.9403 0.3450 0.6221
O: 0.3398 0.0153 0.2635
O: 0.2774 0.3696 0.1276
O: 0.1166 0.7312 0.1678
O: 0.6674 0.7595 0.4547
O: 0.4419 0.9497 0.5023
O: 0.4368 0.2679 0.6467
O: 0.9256 0.0604 0.4117
O: 0.3260 0.4942 0.8287
O: 0.6550 0.7452 0.9884
O: 0.1467 0.8836 0.8913
O: 0.4254 0.6143 0.6225
O: 0.0611 0.6605 0.3812
O: 0.0967 0.5910 0.7159
O: 0.7336 0.1377 0.3185
O: 0.6779 0.5129 0.1700
O: 0.5706 0.0396 0.9136
O: 0.3388 0.5384 0.5131
O: 0.7465 0.7038 0.9350
O: 0.0696 0.9470 0.5916
O: 0.1544 0.2530 0.7598
O: 0.6987 0.5095 0.5611
O: 0.2147 0.6721 0.0054
O: 0.8474 0.7545 0.2461
O: 0.6681 0.5397 0.6635
O: 0.4116 0.2415 0.0307
O: 0.9786 0.9881 0.8103
O: 0.4518 0.3192 0.2621
O: 0.5634 0.7356 0.3564
O: 0.4361 0.9577 0.0947
O: 0.8476 0.1185 0.1101
O: 0.8775 0.2746 0.8333
O: 0.5579 0.0496 0.5006
O: 0.0197 0.0209 0.1962
O: 0.3669 0.4050 0.2418
C: 0.7815 0.2378 0.8951
C: 0.8094 0.6104 0.2331
C: 0.9103 0.0767 0.1994
C: 0.2138 0.7656 0.1061
C: 0.0655 0.4479 0.6976
C: 0.0851 0.9300 0.8037
C: 0.9348 0.5570 0.3066
C: 0.8497 0.0943 0.3205
C: 0.1930 0.3963 0.7698
C: 0.1440 0.9127 0.6830
C: 0.3407 0.9288 0.1602
C: 0.6613 0.0717 0.8445
Bi: 0.3298 0.7689 0.8645
Bi: 0.1008 0.9055 0.3456
Bi: 0.6511 0.2341 0.1284
Bi: 0.9002 0.1014 0.6577

***

2.
## HoFe2 (PBE)

Data for HoFe2 after structural relaxation.

Summary:
SG ... Fd-3m (227)
Energy of formation from the pure elements ... -0.100 eV/atom
Mass density ... 9.692 g cm⁻³

a b c (Å): 5.1179 5.1179 5.1179
angles (deg): 60.00 60.00 60.00
Fractional positions:
Fe: 0.6250 0.1250 0.1250
Fe: 0.1250 0.6250 0.1250
Fe: 0.1250 0.1250 0.1250
Fe: 0.1250 0.1250 0.6250
Ho: 0.5000 0.5000 0.5000
Ho: 0.7500 0.7500 0.7500